Entry from the Materials Project: a relaxed structure of SmGe4Rh6 (r²SCAN).

abc: 3.8482 7.1565 7.1565
angles: 120.00 90.00 90.00
Fractional positions:
Ge 0.5000 0.1979 0.3959
Rh 0.0000 0.0664 0.5332
Rh 0.5000 0.4001 0.2000
Rh 0.5000 0.8000 0.5999
Ge 0.5000 0.6041 0.8021
Rh 0.0000 0.4668 0.9336
Ge 0.5000 0.1979 0.8021
Rh 0.5000 0.8000 0.2000
Rh 0.0000 0.4668 0.5332
Ge 0.0000 0.6667 0.3333
Sm 0.0000 0.0000 0.0000

Results
formation energy: -789 meV/atom
symmetry: P-6m2

***

Entry from the Materials Project: a relaxed structure of SrGe2Rh2 (r²SCAN).

abc: 4.1984 4.1984 6.1799
angles: 109.86 109.86 90.00
Fractional positions:
Ge 0.3663 0.3663 0.7327
Sr 0.0000 0.0000 0.0000
Rh 0.2500 0.7500 0.5000
Ge 0.6337 0.6337 0.2673
Rh 0.7500 0.2500 0.5000

Results
formation energy: -846 meV/atom
symmetry: I4/mmm

***

Entry from the Materials Project: a relaxed structure of TbGeRh (r²SCAN).

abc: 4.3182 6.9538 7.4972
angles: 90.00 90.00 90.00
Fractional positions:
Ge 0.2500 0.7913 0.6039
Rh 0.2500 0.1546 0.5685
Tb 0.7500 0.5015 0.6952
Rh 0.7500 0.8454 0.4315
Rh 0.7500 0.3454 0.0685
Ge 0.2500 0.2913 0.8961
Tb 0.7500 0.0015 0.8048
Tb 0.2500 0.4985 0.3048
Ge 0.7500 0.2087 0.3961
Ge 0.7500 0.7087 0.1039
Tb 0.2500 0.9985 0.1952
Rh 0.2500 0.6546 0.9315

Results
formation energy: -1060 meV/atom
symmetry: Pnma

***

Entry from the Materials Project: a relaxed structure of Tb3Ge2Rh2 (r²SCAN).

abc: 5.5599 7.8113 13.2547
angles: 90.00 90.00 90.00
Fractional positions:
Tb 0.1462 0.3964 0.0998
Tb 0.3691 0.7611 0.2500
Rh 0.6258 0.5427 0.0924
Tb 0.1462 0.1036 0.9002
Ge 0.6606 0.2500 0.5000
Ge 0.8685 0.6129 0.2500
Rh 0.3742 0.4573 0.5924
Tb 0.8538 0.6036 0.9002
Tb 0.3691 0.7389 0.7500
Tb 0.8538 0.6036 0.5998
Rh 0.3742 0.0427 0.4076
Ge 0.3394 0.7500 0.0000
Tb 0.6309 0.2389 0.7500
Tb 0.8538 0.8964 0.4002
Ge 0.1315 0.1129 0.2500
Rh 0.6258 0.9573 0.5924
Rh 0.6258 0.5427 0.4076
Rh 0.3742 0.0427 0.0924
Tb 0.6309 0.2611 0.2500
Ge 0.3394 0.7500 0.5000
Tb 0.8538 0.8964 0.0998
Ge 0.8685 0.8871 0.7500
Rh 0.6258 0.9573 0.9076
Ge 0.1315 0.3871 0.7500
Rh 0.3742 0.4573 0.9076
Tb 0.1462 0.3964 0.4002
Tb 0.1462 0.1036 0.5998
Ge 0.6606 0.2500 0.0000

Results
formation energy: -1016 meV/atom
symmetry: Pbcm

***

Entry from the Materials Project: a relaxed structure of ThGe2Rh2 (r²SCAN).

abc: 4.1758 4.1758 5.9791
angles: 110.44 110.44 90.00
Fractional positions:
Th 0.0000 0.0000 0.0000
Ge 0.3779 0.3779 0.7558
Rh 0.2500 0.7500 0.5000
Ge 0.6221 0.6221 0.2442
Rh 0.7500 0.2500 0.5000

Results
formation energy: -926 meV/atom
symmetry: I4/mmm

***

Entry from the Materials Project: a relaxed structure of TiGeRh (r²SCAN).

abc: 7.4869 7.4870 7.4874
angles: 127.51 123.06 81.11
Fractional positions:
Ti 0.2491 0.1643 0.4152
Ge 0.7865 0.7871 0.5006
Ti 0.0222 0.2873 0.7650
Rh 0.9999 0.4882 0.4881
Ge 0.3381 0.0793 0.7535
Rh 0.5002 0.4880 0.9882
Rh 0.5828 0.0051 0.3353
Ge 0.6619 0.4153 0.7411
Ti 0.7508 0.1661 0.9151
Rh 0.8301 0.7525 0.8353
Rh 0.1698 0.0052 0.9225
Ge 0.2136 0.7140 0.0005
Ge 0.1741 0.4153 0.2534
Ti 0.4434 0.7423 0.7989
Rh 0.4172 0.7526 0.4224
Ti 0.9777 0.7428 0.2651
Ti 0.5566 0.3555 0.2989
Ge 0.8259 0.0793 0.2411

Results
formation energy: -832 meV/atom
symmetry: Ima2

***

Entry from the Materials Project: a relaxed structure of Tm5Ge10Rh4 (r²SCAN).

abc: 12.9030 12.9030 4.2326
angles: 90.00 90.00 90.00
Fractional positions:
Ge 0.2994 0.6628 0.0000
Tm 0.6738 0.1738 0.5000
Ge 0.1567 0.9956 0.5000
Ge 0.3372 0.2994 0.0000
Tm 0.8870 0.3870 0.5000
Ge 0.6567 0.5044 0.5000
Ge 0.4331 0.9331 0.0000
Ge 0.5669 0.0669 0.0000
Rh 0.5204 0.2545 0.0000
Tm 0.3262 0.8262 0.5000
Rh 0.9796 0.7545 0.0000
Ge 0.8372 0.2006 0.0000
Ge 0.3433 0.4956 0.5000
Ge 0.0044 0.1567 0.5000
Tm 0.5000 0.5000 0.0000
Ge 0.0669 0.4331 0.0000
Ge 0.8433 0.0044 0.5000
Rh 0.2455 0.9796 0.0000
Tm 0.8262 0.6738 0.5000
Tm 0.1738 0.3262 0.5000
Tm 0.3870 0.1130 0.5000
Ge 0.7994 0.8372 0.0000
Tm 0.6130 0.8870 0.5000
Ge 0.4956 0.6567 0.5000
Rh 0.7455 0.5204 0.0000
Ge 0.5044 0.3433 0.5000
Ge 0.7006 0.3372 0.0000
Rh 0.2545 0.4796 0.0000
Ge 0.1628 0.7994 0.0000
Tm 0.0000 0.0000 0.0000
Ge 0.9331 0.5669 0.0000
Ge 0.6628 0.7006 0.0000
Rh 0.7545 0.0204 0.0000
Tm 0.1130 0.6130 0.5000
Ge 0.9956 0.8433 0.5000
Rh 0.0204 0.2455 0.0000
Ge 0.2006 0.1628 0.0000
Rh 0.4796 0.7455 0.0000

Results
formation energy: -844 meV/atom
symmetry: P4/mbm

***

Entry from the Materials Project: a relaxed structure of TmGe2Rh2 (r²SCAN).

abc: 4.0879 4.0879 5.8754
angles: 110.36 110.36 90.00
Fractional positions:
Ge 0.3793 0.3793 0.7586
Rh 0.2500 0.7500 0.5000
Ge 0.6207 0.6207 0.2414
Tm 0.0000 0.0000 0.0000
Rh 0.7500 0.2500 0.5000

Results
formation energy: -932 meV/atom
symmetry: I4/mmm

***

Entry from the Materials Project: a relaxed structure of UGeRh (r²SCAN).

abc: 4.4347 6.8626 7.4756
angles: 90.00 90.00 90.00
Fractional positions:
Ge 0.2500 0.8110 0.4139
Ge 0.2500 0.3110 0.0861
U 0.7500 0.5142 0.2904
U 0.2500 0.4858 0.7096
Ge 0.7500 0.1890 0.5861
Rh 0.2500 0.7174 0.0821
U 0.7500 0.0142 0.2096
Rh 0.2500 0.2174 0.4179
U 0.2500 0.9858 0.7904
Rh 0.7500 0.2826 0.9179
Rh 0.7500 0.7826 0.5821
Ge 0.7500 0.6890 0.9139

Results
formation energy: -745 meV/atom
symmetry: Pnma

***

Entry from the Materials Project: a relaxed structure of YGe2Rh2 (r²SCAN).

abc: 4.1110 4.1110 5.9151
angles: 110.33 110.33 90.00
Fractional positions:
Y 0.0000 0.0000 0.0000
Rh 0.7500 0.2500 0.5000
Ge 0.3780 0.3780 0.7560
Rh 0.2500 0.7500 0.5000
Ge 0.6220 0.6220 0.2440

Results
formation energy: -963 meV/atom
symmetry: I4/mmm

***

Entry from the Materials Project: a relaxed structure of Y3Ge2Rh2 (r²SCAN).

abc: 5.5734 7.7965 13.2515
angles: 90.00 90.00 90.00
Fractional positions:
Y 0.1443 0.1029 0.8993
Y 0.3706 0.7389 0.7500
Y 0.1443 0.3971 0.3993
Rh 0.3716 0.0411 0.4083
Ge 0.6556 0.2500 0.0000
Rh 0.3716 0.4589 0.9083
Ge 0.3444 0.7500 0.5000
Ge 0.8679 0.6132 0.2500
Rh 0.6284 0.9589 0.5917
Y 0.1443 0.1029 0.6007
Ge 0.1321 0.3868 0.7500
Rh 0.3716 0.0411 0.0917
Y 0.1443 0.3971 0.1007
Y 0.8557 0.8971 0.1007
Y 0.3706 0.7611 0.2500
Rh 0.3716 0.4589 0.5917
Y 0.8557 0.8971 0.3993
Y 0.6294 0.2389 0.7500
Rh 0.6284 0.5411 0.0917
Y 0.8557 0.6029 0.8993
Ge 0.3444 0.7500 0.0000
Rh 0.6284 0.5411 0.4083
Ge 0.6556 0.2500 0.5000
Ge 0.8679 0.8868 0.7500
Y 0.6294 0.2611 0.2500
Ge 0.1321 0.1132 0.2500
Y 0.8557 0.6029 0.6007
Rh 0.6284 0.9589 0.9083

Results
formation energy: -1003 meV/atom
symmetry: Pbcm

***

Entry from the Materials Project: a relaxed structure of YbGe2Rh2 (r²SCAN).

abc: 4.0848 4.0848 5.8631
angles: 110.39 110.39 90.00
Fractional positions:
Ge 0.6205 0.6205 0.2410
Rh 0.2500 0.7500 0.5000
Ge 0.3795 0.3795 0.7590
Yb 0.0000 0.0000 0.0000
Rh 0.7500 0.2500 0.5000

Results
formation energy: -923 meV/atom
symmetry: I4/mmm